[1]
Material: Mg2Ni
Method: DFT, PBE
State: relaxed

calculated density: 3.09 g/cm3
DFT formation energy: 0.045 eV per atom

Lattice parameters (Å, degrees): 6.136 6.136 6.136 90.00 90.00 90.00
Space group Fm-3m (No. 225)
Inequivalent atoms, fractional coordinates:
Mg 0.250 0.250 0.250 x8
Ni 0.000 0.000 0.000 x4



[2]
Material: MgNi3
Method: DFT, PBE
State: relaxed

calculated density: 6.88 g/cm3
DFT formation energy: -0.072 eV per atom

Lattice parameters (Å, degrees): 3.643 3.643 3.643 90.00 90.00 90.00
Space group Pm-3m (No. 221)
Inequivalent atoms, fractional coordinates:
Mg 0.000 0.000 0.000 x1
Ni 0.000 0.500 0.500 x3



[3]
Material: MgNi
Method: DFT, PBE
State: relaxed

calculated density: 4.90 g/cm3
DFT formation energy: -0.151 eV per atom

Lattice parameters (Å, degrees): 2.985 2.985 3.160 90.00 90.00 90.00
Space group P4/mmm (No. 123)
Inequivalent atoms, fractional coordinates:
Mg 0.000 0.000 0.000 x1
Ni 0.500 0.500 0.500 x1